The following is a PBE-GGA calculation of crystalline Na3YZrSiP2O12 at its relaxed geometry, from the Materials Project.

Properties
**Corrected total energy (MP2020 scheme)**: -625.47 eV per cell

a b c (Å): 16.0538 9.2713 9.2648
angles (deg): 90.00 125.00 90.00
Positions (direct):
Na 0.2568 0.7104 0.0053
Na 0.7568 0.7896 0.5053
Na 0.7568 0.2104 0.0053
Na 0.2568 0.2896 0.5053
Na 0.5086 0.1110 0.7657
Na 0.5086 0.8890 0.2657
Na 0.0086 0.6110 0.7657
Na 0.0086 0.3890 0.2657
Na 0.1845 0.9316 0.2935
Na 0.1845 0.0684 0.7935
Na 0.6845 0.4316 0.2935
Na 0.6845 0.5684 0.7935
Y 0.1046 0.7454 0.5625
Y 0.1046 0.2546 0.0625
Y 0.6046 0.2454 0.5625
Y 0.6046 0.7546 0.0625
Zr 0.8967 0.7575 0.9432
Zr 0.8967 0.2425 0.4432
Zr 0.3967 0.2575 0.9432
Zr 0.3967 0.7425 0.4432
Si 0.6462 0.8879 0.7355
Si 0.6462 0.1121 0.2355
Si 0.1462 0.3879 0.7355
Si 0.1462 0.6121 0.2355
P 0.9972 0.9549 0.7622
P 0.9972 0.0451 0.2622
P 0.4972 0.4549 0.7622
P 0.4972 0.5451 0.2622
P 0.3527 0.9088 0.7522
P 0.3527 0.0912 0.2522
P 0.8527 0.4088 0.7522
P 0.8527 0.5912 0.2522
O 0.1532 0.5635 0.7506
O 0.8510 0.5777 0.7468
O 0.8510 0.4223 0.2468
O 0.1532 0.4365 0.2506
O 0.6532 0.0635 0.7506
O 0.3510 0.0777 0.7468
O 0.3510 0.9223 0.2468
O 0.6532 0.9365 0.2506
O 0.4432 0.5637 0.6034
O 0.5576 0.5363 0.9357
O 0.5576 0.4637 0.4357
O 0.4432 0.4363 0.1034
O 0.9432 0.0637 0.6034
O 0.0576 0.0363 0.9357
O 0.0576 0.9637 0.4357
O 0.9432 0.9363 0.1034
O 0.2589 0.8576 0.7444
O 0.7435 0.8102 0.7492
O 0.7435 0.1898 0.2492
O 0.2589 0.1424 0.2444
O 0.7589 0.3576 0.7444
O 0.2435 0.3102 0.7492
O 0.2435 0.6898 0.2492
O 0.7589 0.6424 0.2444
O 0.3508 0.8597 0.5865
O 0.6426 0.8231 0.8930
O 0.6426 0.1769 0.3930
O 0.3508 0.1403 0.0865
O 0.8508 0.3597 0.5865
O 0.1426 0.3231 0.8930
O 0.1426 0.6769 0.3930
O 0.8508 0.6403 0.0865
O 0.4495 0.8545 0.9214
O 0.5388 0.8332 0.5491
O 0.5388 0.1668 0.0491
O 0.4495 0.1455 0.4214
O 0.9495 0.3545 0.9214
O 0.0388 0.3332 0.5491
O 0.0388 0.6668 0.0491
O 0.9495 0.6455 0.4214
O 0.0702 0.8567 0.7489
O 0.9136 0.8603 0.7507
O 0.9136 0.1397 0.2507
O 0.0702 0.1433 0.2489
O 0.5702 0.3567 0.7489
O 0.4136 0.3603 0.7507
O 0.4136 0.6397 0.2507
O 0.5702 0.6433 0.2489

The following is a PBE-GGA calculation of crystalline In at its relaxed geometry, from the Materials Project.

Properties
**Symmetry**: Im-3m (229)

a b c (Å): 3.3170 3.3170 3.3170
angles (deg): 109.47 109.47 109.47
Positions (direct):
In 0.0000 0.0000 0.0000

no.,energy of formation (eV per atom),ΔE to the lowest computed polymorph (meV/atom),E (eV/atom)
1,-3.088,0.0,-7.41
2,0.035,34.8,-2.72